1.
Computed, not measured: Li9Cr4C8S2O32 after structural relaxation at the PBE+U level of DFT.

Calculated values
Final energy = -6.92 eV per atom
E_form = -201 kJ per mole of atoms
Symmetry = C2
Size of the total moment = 0.24 μB/atom

extended XYZ file:
```
55
Lattice="6.540 -6.895 0.000 6.540 6.895 0.000 -6.517 0.000 6.607" Properties=species:S:1:pos:R:3 pbc="T T T"
Li 0.000 0.000 0.000
Li 0.619 -0.579 3.378
Li 3.404 -0.590 0.611
Li -2.713 -3.931 6.574
Li -0.005 -3.942 3.841
Li 3.158 -0.590 5.996
Li 5.943 -0.579 3.229
Li 6.567 -3.942 2.766
Li 9.275 -3.931 0.033
Cr 1.662 4.652 4.938
Cr -1.617 1.211 4.963
Cr 4.900 4.652 1.668
Cr 8.178 1.211 1.644
C -1.268 4.177 5.326
C -1.943 -1.759 4.584
C 5.269 1.703 1.248
C 1.293 1.703 5.359
C 7.829 4.177 1.281
C 8.505 -1.759 2.023
C 2.006 -6.172 4.571
C 4.556 -6.172 2.036
S 3.281 -0.533 3.303
S 6.540 -4.075 0.000
O -2.045 3.146 5.351
O 1.822 4.231 2.933
O -1.110 -0.228 1.863
O -3.560 0.832 5.425
O 4.457 2.688 1.328
O 0.327 1.577 4.488
O 1.396 -1.812 0.348
O -1.191 -0.703 4.545
O 4.740 4.231 3.674
O -2.829 -1.918 5.518
O 2.380 0.271 2.427
O 5.138 0.803 0.323
O 2.105 2.688 5.279
O 0.410 -2.563 2.212
O 6.234 1.577 2.119
O 1.423 0.803 6.284
O 8.607 3.146 1.256
O 4.155 -1.348 2.398
O 2.407 -1.348 4.209
O 4.182 0.271 4.180
O -0.864 -4.944 5.761
O 0.881 -3.262 5.704
O 5.681 -3.262 0.903
O 7.753 -0.703 2.062
O 10.122 0.832 1.181
O 1.898 -5.325 3.613
O 9.391 -1.918 1.089
O 7.672 -0.228 4.744
O 4.664 -5.325 2.994
O 6.152 -2.563 4.395
O 7.426 -4.944 0.846
O 5.166 -1.812 6.259
```

=====

2.
Computed, not measured: Li3CrSiCO7 after structural relaxation at the PBE+U level of DFT.

Calculated values
Final energy = -6.95 eV per atom
E_form = -241 kJ per mole of atoms
Size of the total moment = 0.00 μB/atom

extended XYZ file:
```
52
Lattice="0.868 -4.976 0.068 -5.808 -1.633 5.708 -8.768 -1.656 -9.394" Properties=species:S:1:pos:R:3 pbc="T T T"
O -3.841 -5.360 2.296
O -12.246 -6.089 -3.133
Li -5.442 -5.047 -5.199
O -3.406 -2.879 1.452
O -6.321 -2.492 1.368
Li -7.921 -2.866 -5.191
O -5.484 -2.077 -1.217
O -1.463 -2.177 -0.485
Li -10.171 -6.228 -3.123
Li -7.673 -5.756 -0.446
Cr -4.870 -2.300 2.716
C -2.856 -4.167 -3.300
C -6.469 -3.271 4.379
Li -8.266 -3.219 1.582
Si -10.782 -3.806 -4.902
Si -6.398 -2.978 -0.205
C -10.852 -4.098 -0.317
O -7.861 -5.261 1.565
O -3.004 -4.946 -0.289
Li -6.036 -2.510 -3.171
O -10.705 -3.320 -3.329
O -8.019 -2.813 -0.452
Li -1.652 -1.682 1.525
Si -2.927 -4.460 1.284
O -8.225 -6.188 -2.401
O -12.403 -3.641 -5.149
O -10.303 -5.387 -5.070
O -7.387 -5.774 -4.986
O -6.447 -1.987 4.133
Li -12.650 -4.048 -3.116
O -9.868 -2.906 -5.914
Cr -8.838 -5.966 -6.334
C -7.240 -4.996 -7.998
O -8.097 -4.280 -7.324
Li -3.537 -2.038 -0.495
O -2.877 -5.451 -3.054
Cr -4.455 -5.138 -1.637
O -5.689 -5.453 -3.166
Cr -9.254 -3.128 -1.980
O -5.919 -4.559 -0.372
Li -1.058 -4.219 -0.502
O -1.305 -4.625 1.531
O -5.846 -3.005 -5.181
O -9.995 -4.814 -0.991
O -5.611 -3.986 3.706
O -7.790 -3.707 -3.245
Li -12.057 -6.584 -5.144
O -7.261 -6.279 -7.751
O -10.831 -2.815 -0.564
Li -5.787 -5.400 1.574
O -3.713 -3.452 -2.626
Si -7.311 -5.288 -3.413
```

=====

3.
Computed, not measured: Mg6CrCO8 after structural relaxation at the PBE+U level of DFT.

Calculated values
Final energy = -6.06 eV per atom
E_form = -220 kJ per mole of atoms
Symmetry = P4/mmm
Size of the total moment = 0.25 μB/atom

extended XYZ file:
```
16
Lattice="4.175 0.000 0.000 0.000 4.175 0.000 0.000 0.000 8.971" Properties=species:S:1:pos:R:3 pbc="T T T"
Mg 0.000 0.000 0.000
Mg 0.000 0.000 4.485
Mg 0.000 2.088 2.152
Mg 0.000 2.088 6.818
Mg 2.088 0.000 2.152
Mg 2.088 0.000 6.818
Cr 2.088 2.088 4.485
C 2.088 2.088 0.000
O 0.000 0.000 2.215
O 0.000 0.000 6.756
O 0.000 2.088 0.000
O 0.000 2.088 4.485
O 2.088 0.000 0.000
O 2.088 0.000 4.485
O 2.088 2.088 2.499
O 2.088 2.088 6.472
```

=====

4.
Computed, not measured: Mg14CrCO16 after structural relaxation at the PBE+U level of DFT.

Calculated values
Final energy = -6.01 eV per atom
E_form = -256 kJ per mole of atoms
Symmetry = P4/mmm
Size of the total moment = 0.12 μB/atom

extended XYZ file:
```
32
Lattice="8.492 0.000 0.000 0.000 8.492 0.000 0.000 0.000 4.297" Properties=species:S:1:pos:R:3 pbc="T T T"
Mg 0.000 2.078 0.000
Mg 0.000 4.246 2.148
Mg 0.000 6.414 0.000
Mg 2.078 0.000 0.000
Mg 2.086 2.086 2.148
Mg 2.086 6.407 2.148
Mg 2.108 4.246 0.000
Mg 4.246 0.000 2.148
Mg 4.246 2.108 0.000
Mg 4.246 6.384 0.000
Mg 6.384 4.246 0.000
Mg 6.407 2.086 2.148
Mg 6.407 6.407 2.148
Mg 6.414 0.000 0.000
Cr 4.246 4.246 2.148
C 0.000 0.000 2.148
O 0.000 0.000 0.000
O 0.000 2.167 2.148
O 0.000 4.246 0.000
O 0.000 6.325 2.148
O 2.121 2.121 0.000
O 2.121 6.371 0.000
O 2.131 4.246 2.148
O 2.167 0.000 2.148
O 4.246 0.000 0.000
O 4.246 2.131 2.148
O 4.246 4.246 0.000
O 4.246 6.361 2.148
O 6.325 0.000 2.148
O 6.361 4.246 2.148
O 6.371 2.121 0.000
O 6.371 6.371 0.000
```

=====

5.
Computed, not measured: Mg6CrCO8 after structural relaxation at the PBE+U level of DFT.

Calculated values
Final energy = -6.05 eV per atom
E_form = -219 kJ per mole of atoms
Symmetry = P4/mmm
Size of the total moment = 0.24 μB/atom

extended XYZ file:
```
16
Lattice="4.267 0.000 0.000 0.000 4.267 0.000 0.000 0.000 8.467" Properties=species:S:1:pos:R:3 pbc="T T T"
Mg 0.000 0.000 0.000
Mg 0.000 2.133 2.153
Mg 0.000 2.133 6.313
Mg 2.133 0.000 2.153
Mg 2.133 0.000 6.313
Mg 2.133 2.133 0.000
Cr 0.000 0.000 4.233
C 2.133 2.133 4.233
O 0.000 0.000 2.148
O 0.000 0.000 6.319
O 0.000 2.133 0.000
O 0.000 2.133 4.233
O 2.133 0.000 0.000
O 2.133 0.000 4.233
O 2.133 2.133 2.080
O 2.133 2.133 6.387
```

=====

6.
Computed, not measured: Mg14CrCO16 after structural relaxation at the PBE+U level of DFT.

Calculated values
Final energy = -6.02 eV per atom
E_form = -257 kJ per mole of atoms
Symmetry = Pmmm
Size of the total moment = 0.12 μB/atom

extended XYZ file:
```
32
Lattice="4.209 0.000 0.000 0.000 8.454 0.000 0.000 0.000 8.737" Properties=species:S:1:pos:R:3 pbc="T T T"
Mg 0.000 0.000 0.000
Mg 0.000 0.000 4.369
Mg 0.000 2.150 2.136
Mg 0.000 2.150 6.601
Mg 0.000 6.304 2.136
Mg 0.000 6.304 6.601
Mg 2.104 0.000 2.171
Mg 2.104 0.000 6.567
Mg 2.104 2.107 4.369
Mg 2.104 2.148 0.000
Mg 2.104 4.227 2.121
Mg 2.104 4.227 6.616
Mg 2.104 6.306 0.000
Mg 2.104 6.347 4.369
Cr 0.000 4.227 4.369
C 0.000 4.227 0.000
O 0.000 0.000 2.205
O 0.000 0.000 6.532
O 0.000 2.069 0.000
O 0.000 2.143 4.369
O 0.000 4.227 2.401
O 0.000 4.227 6.336
O 0.000 6.312 4.369
O 0.000 6.385 0.000
O 2.104 0.000 0.000
O 2.104 0.000 4.369
O 2.104 2.126 2.180
O 2.104 2.126 6.557
O 2.104 4.227 0.000
O 2.104 4.227 4.369
O 2.104 6.328 2.180
O 2.104 6.328 6.557
```